Entry 1:
! NdFeO3 PBE with a Hubbard U relaxed; values from VASP
&SYSTEM
  ibrav = 0, nat = 20, ntyp = 3
/
ATOMIC_SPECIES
Nd 144.24 Nd.upf
O 16.00 O.upf
Fe 55.84 Fe.upf
CELL_PARAMETERS angstrom
-0.6019 0.5699 -3.4141
-4.6893 -4.1344 0.1366
-8.3464 9.5681 3.0688
ATOMIC_POSITIONS angstrom
Nd -9.9927 4.1732 1.5116
O -2.5662 -0.1068 -2.5591
O -9.0393 5.5408 -0.1595
O -8.8208 8.2666 1.7491
O -8.1254 2.7331 1.2671
Nd -6.0039 -0.2231 -1.7333
O -11.0715 6.1105 2.3503
O -7.7630 1.1144 -0.8747
Fe -6.8188 3.0018 -0.1044
Nd -3.6449 1.8305 -1.7204
O -11.3951 3.4842 -0.1543
O -2.2426 2.5195 -0.0545
Nd -7.6338 6.2268 1.5245
O -4.8169 -2.2630 -1.9579
O -5.5123 3.2705 -1.4759
Fe -4.1732 4.7840 1.5344
O -5.8747 4.8893 0.6659
O -4.5984 0.4628 -0.0493
Fe 0.0000 0.0000 0.0000
Fe -2.6456 -1.7822 -1.6388
! Magnetization   20.005 μB/cell
! Formation energy from the elements   -2.270 eV/atom
! Crystal system   orthorhombic

***

Entry 2:
! Li6Ti3CrP6O24 PBE with a Hubbard U relaxed; values from VASP
&SYSTEM
  ibrav = 0, nat = 40, ntyp = 5
/
ATOMIC_SPECIES
Li 6.94 Li.upf
O 16.00 O.upf
P 30.97 P.upf
Ti 47.87 Ti.upf
Cr 52.00 Cr.upf
CELL_PARAMETERS angstrom
8.5771 0.0000 0.0000
3.9309 7.6577 0.0000
4.0509 2.4886 7.2532
ATOMIC_POSITIONS angstrom
Li 10.9109 3.5267 4.7487
O 9.6249 4.9805 5.4936
O 7.0934 8.2973 2.8778
O 8.8381 7.2685 4.2609
O 5.1087 2.1221 3.6760
O 9.4630 1.7342 4.5203
P 8.4690 1.5027 3.3578
O 6.0905 4.8365 4.2570
O 5.2472 4.3425 6.5707
O 9.1544 1.1526 2.0022
O 4.1750 4.6434 2.1859
O 14.2463 6.7841 5.7850
O 12.2676 5.4395 4.9815
O 8.4893 6.1917 0.0290
Li 3.8808 7.4722 0.0385
O 6.0456 6.9867 0.3811
Li 8.5962 3.0214 1.1799
O 10.5353 3.5984 1.4020
O 7.3720 9.0866 5.3158
O 7.7090 2.8501 3.1507
Li 5.8072 6.7267 2.4542
O 10.4567 5.3972 3.0493
O 10.6200 7.3668 6.4060
O 11.2616 5.9397 0.6748
Ti 5.8117 3.5726 2.5420
O 10.4770 3.0244 6.7216
Li 6.6456 3.1800 5.6184
Li 8.3396 5.2902 3.6640
P 7.0251 5.7954 0.2941
O 6.0494 2.6014 0.8054
O 7.0093 5.0722 1.6870
P 9.5311 4.2644 6.8887
P 11.2602 4.8739 1.8100
Ti 10.6467 6.5551 4.6817
P 8.0822 8.6011 4.0088
Ti 14.1835 8.6802 6.2643
O 11.4665 7.9882 3.6969
P 5.1721 5.3736 5.4148
Cr 2.4518 1.5104 1.1139
O 8.0561 3.9024 7.0562
! Magnetization   6.000 μB/cell
! Formation energy from the elements   -2.801 eV/atom
! Crystal system   triclinic

***

Entry 3:
! K2NiP2WO10 PBE with a Hubbard U relaxed; values from VASP
&SYSTEM
  ibrav = 0, nat = 64, ntyp = 5
/
ATOMIC_SPECIES
O 16.00 O.upf
K 39.10 K.upf
P 30.97 P.upf
Ni 58.69 Ni.upf
W 183.84 W.upf
CELL_PARAMETERS angstrom
9.3050 0.0000 0.0000
0.0000 9.3050 0.0000
0.0000 0.0000 10.8266
ATOMIC_POSITIONS angstrom
O 0.0775 2.9475 2.9003
O 0.1470 6.6749 5.0990
O 6.8619 6.9263 1.5411
O 7.2699 7.0779 6.8084
O 6.6749 0.1470 5.7276
O 2.9475 0.0775 7.9263
K 2.6750 0.0143 4.9375
K 7.3274 4.6382 3.1825
P 1.6489 6.2366 5.3898
K 4.6668 1.9775 2.2308
O 4.5055 2.0224 8.4343
K 9.2907 6.6300 0.4758
Ni 3.3901 3.3901 5.4133
Ni 8.0426 1.2623 2.7067
O 2.6301 9.1579 0.3143
O 6.8796 2.6174 9.5151
W 8.2675 8.2675 5.4133
O 7.0955 2.2738 1.1655
O 2.4254 6.6876 4.1018
P 6.3014 7.7209 2.7301
O 4.5750 7.6000 10.6330
P 3.0684 7.6560 0.0235
K 0.0143 2.6750 5.8891
P 1.5841 3.0035 2.6832
O 2.3787 2.4430 3.8722
O 4.7995 7.2826 3.0210
O 6.6876 2.4254 6.7249
O 4.7177 5.0603 1.4184
O 7.0312 2.2095 4.2478
Ni 1.2623 8.0426 8.1200
O 8.8971 0.0652 4.1250
O 7.6000 4.5750 0.1936
O 9.1579 2.6301 10.5123
O 9.2275 6.3574 8.3136
W 1.0374 1.0374 0.0000
O 2.4430 2.3787 6.9545
O 2.0224 4.5055 2.3924
O 7.2826 4.7995 7.8057
P 7.7209 6.3014 8.0965
O 2.2095 7.0312 6.5788
K 6.6300 9.2907 10.3508
O 2.2738 7.0955 9.6611
O 4.5872 4.2446 6.8317
W 3.6150 5.6899 2.7067
O 2.0351 2.2271 1.3951
O 4.2446 4.5872 3.9949
O 2.2271 2.0351 9.4315
O 7.0779 7.2699 4.0182
O 0.0652 8.8971 6.7016
O 4.7300 1.7049 5.2197
O 2.6174 6.8796 1.3116
P 7.6560 3.0684 10.8031
P 6.2366 1.6489 5.4368
Ni 5.9148 5.9148 0.0000
O 5.0603 4.7177 9.4082
K 1.9775 4.6668 8.5958
W 5.6899 3.6150 8.1200
O 9.2397 0.4078 1.2883
P 3.0035 1.5841 8.1435
O 6.9263 6.8619 9.2855
O 6.3574 9.2275 2.5130
O 0.4078 9.2397 9.5383
O 1.7049 4.7300 5.6070
K 4.6382 7.3274 7.6442
! Magnetization   8.000 μB/cell
! Formation energy from the elements   -2.433 eV/atom
! Crystal system   tetragonal

***

Entry 4:
! CoSbP2O8 PBE with a Hubbard U relaxed; values from VASP
&SYSTEM
  ibrav = 0, nat = 48, ntyp = 4
/
ATOMIC_SPECIES
P 30.97 P.upf
O 16.00 O.upf
Co 58.93 Co.upf
Sb 121.76 Sb.upf
CELL_PARAMETERS angstrom
0.2410 0.0151 4.9326
10.0281 6.4208 0.5170
-10.0604 6.4791 -0.4773
ATOMIC_POSITIONS angstrom
P 1.0619 1.6950 1.9645
O 1.8248 9.1788 1.3198
O 0.5287 4.9718 2.9532
O -1.2076 11.2626 1.5180
O 8.5240 5.9514 4.2737
Co 7.9807 7.6308 3.2393
O 1.8132 2.8765 1.1934
P -0.8525 11.2217 3.0104
O -3.7492 7.9956 3.9730
O 6.7825 7.1499 1.6900
O 4.4802 8.0956 1.2370
O 1.4153 1.6528 3.4572
Sb 3.1508 8.0717 4.9317
O -6.2593 4.7239 0.6212
O -8.3146 6.9652 0.7009
O -3.5467 3.2142 1.0131
O -1.3543 4.8708 1.3051
P -5.8115 4.6818 4.0598
O 6.4669 8.1897 4.3505
O -6.5737 5.7652 3.2821
O -1.6026 10.0400 3.7823
O -3.1711 8.8526 1.2813
O -5.5798 7.9763 0.9893
O 0.6475 11.1613 3.2178
P -4.1126 7.8511 0.5562
O -1.7094 6.1014 3.6042
Co -2.0805 8.2015 2.8843
O -0.4380 1.7551 1.7554
P -0.9609 4.9162 2.8100
Sb -6.8417 8.1974 4.1995
O -0.3212 7.9418 2.0178
Sb -2.9424 4.8428 0.0393
Co -7.7715 5.2853 1.7331
O 3.9591 4.9189 0.9987
O 5.7893 4.9388 3.9825
O -1.6177 3.7344 3.6510
Sb 7.0502 4.7188 0.7747
O 3.7831 6.5117 3.9122
Co 2.2907 4.7188 2.0879
P 4.3220 5.0633 4.4156
O 1.9171 6.8119 1.3673
P 6.0196 8.2327 0.9119
O 1.5622 8.0430 3.6660
O 3.7543 9.7004 3.9581
O 3.3804 4.0619 3.6909
O -4.2722 4.8182 3.7347
O -3.5752 6.4023 1.0592
P 1.1684 7.9972 2.1613
! Magnetization   0.001 μB/cell
! Formation energy from the elements   -2.237 eV/atom
! Crystal system   triclinic